# Rb3MnO3

Crystalline Rb3MnO3 at its relaxed geometry (GGA+U, the Materials Project).

Cell and atoms, written as extended XYZ:
```
28
Lattice="7.046 0.000 0.000 -1.104 7.097 0.000 -0.012 -0.015 12.046" Properties=species:S:1:pos:R:3 pbc="T T T"
Rb -0.038 0.548 2.744
Rb -0.591 4.096 3.278
Rb 2.250 0.989 11.923
Rb 1.703 4.544 6.147
Rb 2.755 3.506 2.535
Rb 2.202 7.053 3.488
Rb 3.729 0.029 8.558
Rb 3.176 3.576 9.511
Rb 4.227 2.538 5.899
Rb 3.681 6.093 0.123
Rb 6.522 2.986 8.768
Rb 5.969 6.533 9.302
Mn 0.927 1.091 6.064
Mn 0.370 4.631 12.002
Mn 5.561 2.451 0.044
Mn 5.004 5.991 5.982
O 0.286 2.871 0.838
O -0.271 6.413 5.182
O 1.566 2.131 4.615
O 1.020 5.684 1.408
O 1.810 1.912 7.528
O 1.255 5.456 10.540
O 4.675 1.626 1.506
O 4.121 5.170 4.518
O 4.911 1.397 10.638
O 4.364 4.951 7.431
O 6.202 0.669 6.864
O 5.645 4.211 11.208
```

- Space-group type: No. 2
- Energy with MP2020 corrections: -154.1 eV per cell
- DFT formation energy: -1655 meV per atom
- Raw total energy: -4.972 eV per atom

# Sr10Mg4FeMo5O30

Crystalline Sr10Mg4FeMo5O30 at its relaxed geometry (GGA+U, the Materials Project).

Cell and atoms, written as extended XYZ:
```
50
Lattice="-6.310 6.310 4.020 6.310 -6.310 4.020 6.310 6.310 -4.020" Properties=species:S:1:pos:R:3 pbc="T T T"
Sr 5.050 3.789 -2.020
Sr 2.521 -1.261 2.001
Sr 6.310 0.000 2.010
Sr 3.789 7.571 -2.020
Sr 1.261 2.521 2.001
Sr 5.050 3.789 2.020
Sr 2.521 -1.261 6.040
Sr 0.000 6.310 2.010
Sr 3.789 7.571 2.020
Sr 1.261 2.521 6.040
Mg 3.780 1.264 0.000
Mg 5.047 -2.531 4.020
Mg 1.264 8.841 0.000
Mg 2.531 5.047 4.020
Fe 0.000 0.000 4.020
Mo 0.000 0.000 0.000
Mo 7.572 2.512 0.000
Mo 2.512 5.048 0.000
Mo 3.799 1.262 4.020
Mo -1.262 3.799 4.020
O 1.924 0.394 0.000
O 5.048 -2.521 1.948
O 7.959 0.613 0.000
O 5.917 -4.387 4.020
O 8.831 -1.262 2.073
O 5.667 2.137 0.000
O 9.471 2.920 0.000
O 0.000 0.000 2.001
O 2.920 3.149 0.000
O 7.177 4.454 0.000
O 3.789 1.262 2.073
O 0.613 4.662 0.000
O 4.454 5.444 0.000
O 7.573 2.521 1.948
O 4.173 -0.644 4.020
O 2.137 6.954 0.000
O -1.262 3.789 2.073
O 1.857 0.867 4.020
O 5.697 1.648 4.020
O 2.521 5.048 1.948
O -0.867 1.857 4.020
O 3.391 3.161 4.020
O 0.000 0.000 6.040
O -3.161 3.391 4.020
O 0.644 4.173 4.020
O -2.521 7.573 1.948
O 0.394 10.697 0.000
O -1.648 5.697 4.020
O 1.262 8.831 2.073
O 4.387 5.917 4.020
```

- Space-group type: No. 87
- Energy with MP2020 corrections: -374.2 eV per cell
- DFT formation energy: -2796 meV per atom
- Total magnetic moment: 0.080 μB per atom
- Raw total energy: -6.707 eV per atom

- Which of these has the highest raw total energy?
  Rb3MnO3

- Among the records above, which one has the lowest energy with MP2020 corrections?
  Sr10Mg4FeMo5O30

- Look up the raw total energy of the first one.
  -4.972 eV per atom